Record 1
Sr12Y4Fe8Co8O43: relaxed, PBE+U.

Geometry as CIF:
```
data_Sr12Y4Fe8Co8O43
_cell_length_a 7.8917
_cell_length_b 15.4196
_cell_length_c 7.8972
_cell_angle_alpha 90.00
_cell_angle_beta 90.06
_cell_angle_gamma 90.00
_symmetry_space_group_name_H-M 'P 1 m 1'
_symmetry_Int_Tables_number 6
loop_
_symmetry_equiv_pos_as_xyz
'x,y,z'
'x,-y,z'
loop_
_atom_site_label
_atom_site_type_symbol
_atom_site_fract_x
_atom_site_fract_y
_atom_site_fract_z
_atom_site_occupancy
Sr1 Sr 0.0000 0.1189 0.0000 1
Sr2 Sr 0.4974 0.3698 0.9631 1
Sr3 Sr 0.4967 0.3785 0.4962 1
Sr4 Sr 0.4980 0.1296 0.9693 1
Sr5 Sr 0.9973 0.1293 0.4686 1
Sr6 Sr 0.9976 0.3728 0.4760 1
Y1 Y 0.4966 0.1451 0.4603 1
Y2 Y 0.9967 0.3481 0.9623 1
Fe1 Fe 0.2480 0.2482 0.7207 1
Fe2 Fe 0.2477 0.2545 0.2203 1
Fe3 Fe 0.7474 0.2483 0.7211 1
Fe4 Fe 0.7474 0.2541 0.2210 1
Co1 Co 0.2360 0.0000 0.7384 1
Co2 Co 0.2461 0.5000 0.7245 1
Co3 Co 0.2625 0.5000 0.2279 1
Co4 Co 0.2729 0.0000 0.2373 1
Co5 Co 0.7317 0.5000 0.2277 1
Co6 Co 0.7359 0.0000 0.2343 1
Co7 Co 0.7493 0.5000 0.7208 1
Co8 Co 0.7599 0.0000 0.7382 1
O1 O 0.0037 0.5000 0.7474 1
O2 O 0.2019 0.3874 0.1677 1
O3 O 0.2244 0.5000 0.4610 1
O4 O 0.2289 0.3764 0.7628 1
O5 O 0.2394 0.2335 0.9709 1
O6 O 0.2509 0.2645 0.4706 1
O7 O 0.2741 0.1202 0.2599 1
O8 O 0.2828 0.0000 0.9771 1
O9 O 0.2936 0.1092 0.6670 1
O10 O 0.4909 0.0000 0.3765 1
O11 O 0.4922 0.5000 0.7374 1
O12 O 0.4970 0.2519 0.7166 1
O13 O 0.4972 0.5000 0.1640 1
O14 O 0.4976 0.2637 0.2246 1
O15 O 0.6993 0.1084 0.6668 1
O16 O 0.7155 0.0000 0.9780 1
O17 O 0.7195 0.1188 0.2639 1
O18 O 0.7442 0.2635 0.4705 1
O19 O 0.7558 0.2314 0.9724 1
O20 O 0.7679 0.3755 0.7662 1
O21 O 0.7685 0.5000 0.4611 1
O22 O 0.7938 0.3874 0.1683 1
O23 O 0.9963 0.5000 0.9346 1
O24 O 0.9966 0.0000 0.2474 1
O25 O 0.9973 0.2426 0.2154 1
O26 O 0.9979 0.0000 0.6923 1
O27 O 0.9977 0.2354 0.7279 1
```

Summary:
E_tot in eV per atom: -6.645


Record 2
MgMn4O6: relaxed, PBE+U.

Geometry as CIF:
```
data_MgMn4O6
_cell_length_a 5.3536
_cell_length_b 5.3539
_cell_length_c 5.8457
_cell_angle_alpha 89.98
_cell_angle_beta 65.47
_cell_angle_gamma 60.15
_symmetry_space_group_name_H-M 'P 1'
_symmetry_Int_Tables_number 1
loop_
_symmetry_equiv_pos_as_xyz
'x,y,z'
loop_
_atom_site_label
_atom_site_type_symbol
_atom_site_fract_x
_atom_site_fract_y
_atom_site_fract_z
_atom_site_occupancy
Mg1 Mg 0.0000 0.0000 0.0000 1
Mn1 Mn 0.1853 0.4050 0.2222 1
Mn2 Mn 0.4596 0.7643 0.3135 1
Mn3 Mn 0.5600 0.2128 0.6655 1
Mn4 Mn 0.8352 0.5801 0.7524 1
O1 O 0.0083 0.6293 0.9883 1
O2 O 0.0100 0.7816 0.4863 1
O3 O 0.3389 0.1887 0.4550 1
O4 O 0.3623 0.0192 0.9911 1
O5 O 0.6558 0.3727 0.9827 1
O6 O 0.6914 0.5077 0.5143 1
```

Summary:
E_tot in eV per atom: -7.287
E above lowest polymorph in meV per atom: 41


Record 3
V3O7: relaxed, PBE+U.

Geometry as CIF:
```
data_V3O7
_cell_length_a 22.5372
_cell_length_b 3.6872
_cell_length_c 18.6697
_cell_angle_alpha 90.00
_cell_angle_beta 95.22
_cell_angle_gamma 90.00
_symmetry_space_group_name_H-M 'C 1 2/c 1'
_symmetry_Int_Tables_number 15
loop_
_symmetry_equiv_pos_as_xyz
'x,y,z'
'-x,-y,-z'
'-x,y,-z+1/2'
'x,-y,z+1/2'
'x+1/2,y+1/2,z'
'-x+1/2,-y+1/2,-z'
'-x+1/2,y+1/2,-z+1/2'
'x+1/2,-y+1/2,z+1/2'
loop_
_atom_site_label
_atom_site_type_symbol
_atom_site_fract_x
_atom_site_fract_y
_atom_site_fract_z
_atom_site_occupancy
V1 V 0.0000 0.2145 0.2500 1
V2 V 0.0309 0.2517 0.4450 1
V3 V 0.1612 0.2511 0.2539 1
V4 V 0.1710 0.2479 0.6253 1
V5 V 0.1946 0.2079 0.4404 1
O1 O 0.0000 0.2591 0.7500 1
O2 O 0.0022 0.2480 0.1405 1
O3 O 0.0224 0.2511 0.9748 1
O4 O 0.0894 0.2518 0.2660 1
O5 O 0.1027 0.2493 0.5942 1
O6 O 0.1056 0.2456 0.4380 1
O7 O 0.1734 0.2501 0.7322 1
O8 O 0.1844 0.2522 0.1549 1
O9 O 0.1949 0.2687 0.9414 1
O10 O 0.2027 0.2488 0.3348 1
O11 O 0.2136 0.2510 0.5491 1
```

Summary:
E_tot in eV per atom: -7.536
E above lowest polymorph in meV per atom: 0


Number 1: E_form -2039 meV/atom. Number 2: E_form -2092 meV/atom. Number 3: E_form -2338 meV/atom.